BaCdSb2 after structural relaxation, computed with PBE.

Values from the calculation:
MP2020-corrected energy	-55.638	eV per cell
energy of formation from the pure elements	-0.70	eV per atom
VASP energy	-3.381	eV/atom

Cell: 4.6133 4.6133 24.8226 Å, 90.00 90.00 90.00°
With the nearest neighbours (Å) after each atom.
Space group I4/mmm (No. 139)
One atom of each set of equivalent atoms:
Ba (0.0000, 0.0000, 0.1122)  8 Sb 3.61-3.62
Cd (0.0000, 0.5000, 0.2500)  4 Sb 2.97, 4 Cd 3.26
Sb (0.0000, 0.0000, 0.3256)  4 Cd 2.97
Sb (0.0000, 0.5000, 0.0000)  4 Sb 3.26, 4 Ba 3.62

---

Ba2CdTe3 after structural relaxation, computed with PBE.

Values from the calculation:
MP2020-corrected energy	-93.690	eV per cell
energy of formation from the pure elements	-1.54	eV per atom
VASP energy	-3.693	eV/atom

Cell: 10.0111 4.8193 19.3817 Å, 90.00 90.00 90.00°
With the nearest neighbours (Å) after each atom.
Space group Pnma (No. 62)
One atom of each set of equivalent atoms:
Ba (0.0736, 0.2500, 0.2146)  7 Te 3.59-3.71
Ba (0.2466, 0.2500, 0.9630)  7 Te 3.47-3.71
Cd (0.1305, 0.2500, 0.6359)  4 Te 2.85-2.90
Te (0.0117, 0.2500, 0.4032)  2 Cd 2.90
Te (0.1132, 0.7500, 0.0717)  1 Cd 2.85
Te (0.1922, 0.2500, 0.7797)  1 Cd 2.85

---

BaCe after structural relaxation, computed with PBE.

Values from the calculation:
energy of formation from the pure elements	0.42	eV per atom
VASP energy	-3.508	eV/atom

Cell: 3.9179 3.9179 6.6196 Å, 90.00 90.00 120.00°
With the nearest neighbours (Å) after each atom.
Space group P-6m2 (No. 187)
One atom of each set of equivalent atoms:
Ba (0.0000, 0.0000, 0.0000)  6 Ba 3.92, 6 Ce 4.01
Ce (0.6667, 0.3333, 0.5000)  6 Ce 3.92, 6 Ba 4.01

---

Ba3Ce after structural relaxation, computed with PBE.

Values from the calculation:
energy of formation from the pure elements	0.30	eV per atom
VASP energy	-2.622	eV/atom

Cell: 5.9104 5.9104 12.1513 Å, 90.00 90.00 90.00°
With the nearest neighbours (Å) after each atom.
Space group I4/mmm (No. 139)
One atom of each set of equivalent atoms:
Ba (0.0000, 0.0000, 0.0000)  4 Ce 4.18, 8 Ba 4.24
Ba (0.0000, 0.5000, 0.2500)  8 Ba 4.18-4.24, 4 Ce 4.24
Ce (0.0000, 0.0000, 0.5000)  12 Ba 4.18-4.24

---

BaCe3 after structural relaxation, computed with PBE.

Values from the calculation:
energy of formation from the pure elements	0.36	eV per atom
VASP energy	-4.565	eV/atom

Cell: 7.2193 7.2193 5.9275 Å, 90.00 90.00 120.00°
With the nearest neighbours (Å) after each atom.
Space group P6_3/mmc (No. 194)
One atom of each set of equivalent atoms:
Ba (0.3333, 0.6667, 0.2500)  12 Ce 3.63-3.88
Ce (0.1335, 0.2670, 0.7500)  2 Ce 2.89

---

Ba3Ce after structural relaxation, computed with PBE.

Values from the calculation:
energy of formation from the pure elements	0.30	eV per atom
VASP energy	-2.620	eV/atom

Cell: 8.6876 8.6876 6.9380 Å, 90.00 90.00 120.00°
With the nearest neighbours (Å) after each atom.
Space group P6_3/mmc (No. 194)
One atom of each set of equivalent atoms:
Ba (0.1716, 0.3432, 0.2500)  8 Ba 4.22-4.47, 4 Ce 4.24-4.34
Ce (0.3333, 0.6667, 0.7500)  12 Ba 4.24-4.34

---

BaCe2CoS5 after structural relaxation, computed with PBE.

Values from the calculation:
MP2020-corrected energy	-236.973	eV per cell
energy of formation from the pure elements	-1.96	eV per atom
VASP energy	-6.303	eV/atom

Cell: 7.7592 7.7592 13.4082 Å, 90.00 90.00 90.00°
With the nearest neighbours (Å) after each atom.
Space group I4/mcm (No. 140)
One atom of each set of equivalent atoms:
Ba (0.0000, 0.0000, 0.2500)  10 S 3.35-3.36
Ce (0.1620, 0.3380, 0.0000)  8 S 2.77-2.99
Co (0.0000, 0.5000, 0.2500)  4 S 2.23
S (0.0000, 0.0000, 0.0000)  4 Ce 2.91
S (0.1453, 0.3547, 0.3660)  1 Co 2.23

---

Ba4CeEu3Tl2Cu4O18 after structural relaxation, computed with PBE.

Values from the calculation:
MP2020-corrected energy	-227.807	eV per cell
energy of formation from the pure elements	-2.29	eV per atom
VASP energy	-6.733	eV/atom

Cell: 3.8825 7.7481 15.9313 Å, 96.96 97.00 90.01°
With the nearest neighbours (Å) after each atom.
Space group P1 (No. 1)
One atom of each set of equivalent atoms:
Ba (0.0000, 0.0000, 0.0000)  9 O 2.66-2.98
Ba (0.0000, 0.5004, 0.9999)  9 O 2.67-2.98
Ba (0.8302, 0.4153, 0.6604)  7 O 2.66-2.96
Ba (0.8305, 0.9154, 0.6610)  7 O 2.66-2.95
Ce (0.7054, 0.8529, 0.4106)  4 O 2.24-2.27
Eu (0.1235, 0.0631, 0.2466)  8 O 2.32-2.54
Eu (0.1234, 0.5604, 0.2466)  8 O 2.32-2.54
Eu (0.7063, 0.3533, 0.4127)  8 O 2.34-2.57
Tl (0.3623, 0.7077, 0.8302)  2 O 2.12
Tl (0.4673, 0.2079, 0.8301)  2 O 2.12
Cu (0.2636, 0.6320, 0.5292)  4 O 1.94-1.95
Cu (0.2651, 0.1331, 0.5290)  4 O 1.94-1.95
Cu (0.5652, 0.7829, 0.1315)  4 O 1.95
Cu (0.5659, 0.2825, 0.1296)  4 O 1.94-1.95
O (0.0715, 0.7862, 0.1443)  2 Cu 1.95
O (0.0719, 0.2855, 0.1410)  2 Cu 1.95
O (0.1646, 0.3324, 0.3292)  4 Eu 2.32-2.34
O (0.1681, 0.8340, 0.3356)  2 Ce 2.27, 2 Eu 2.40
O (0.2574, 0.8791, 0.5151)  2 Cu 1.95
O (0.2590, 0.3799, 0.5182)  2 Cu 1.94
O (0.3380, 0.6742, 0.6954)  1 Tl 2.12
O (0.3578, 0.1738, 0.6954)  1 Tl 2.12
O (0.4727, 0.7414, 0.9650)  1 Tl 2.12
O (0.4923, 0.2415, 0.9645)  1 Tl 2.12
O (0.5714, 0.0363, 0.1423)  2 Cu 1.94-1.95
O (0.5715, 0.5350, 0.1423)  2 Cu 1.94-1.95
O (0.6663, 0.0754, 0.3323)  1 Ce 2.24, 3 Eu 2.36
O (0.6665, 0.5911, 0.3323)  1 Ce 2.24, 3 Eu 2.36
O (0.7574, 0.6351, 0.5172)  2 Cu 1.95
O (0.7593, 0.1239, 0.5172)  2 Cu 1.95
O (0.9155, 0.4580, 0.8299)  4 Tl 2.60-2.89, 2 Ba 2.66-2.67
O (0.9154, 0.9574, 0.8302)  4 Tl 2.60-2.89, 2 Ba 2.66

---

Ba4CeCu3O9 after structural relaxation, computed with PBE.

Values from the calculation:
MP2020-corrected energy	-223.991	eV per cell
energy of formation from the pure elements	-2.44	eV per atom
VASP energy	-6.224	eV/atom

Cell: 8.2303 8.2303 8.2303 Å, 90.00 90.00 90.00°
With the nearest neighbours (Å) after each atom.
Space group Pm-3n (No. 223)
One atom of each set of equivalent atoms:
Ba (0.2500, 0.2500, 0.2500)  9 O 2.91
Ce (0.0000, 0.0000, 0.0000)  6 O 2.22
Cu (0.0000, 0.0000, 0.5000)  4 O 1.89-2.06
O (0.0000, 0.0000, 0.2703)  1 Cu 1.89
O (0.0000, 0.2500, 0.5000)  2 Cu 2.06